Entry 1:
30
Lattice="6.0368 0.0000 0.0000 0.0000 8.7497 0.0000 0.0000 0.0000 11.8971" Properties=species:S:1:pos:R:3 comment="BaC8N6, relaxed, DFT PBE" ef_ev_per_atom=-0.022 relative_energy_mev_per_atom=9 energy_corrected_mp2020_ev_per_atom=-8.406 energy_ev_per_atom=-8.262 pbc="T T T"
Ba 0.0000 0.0000 0.0000
Ba 0.0000 4.3748 5.9486
N 1.4752 2.2138 4.8899
N 1.6334 0.0000 9.5711
N 1.4752 2.1610 1.0586
N 1.6334 4.3748 8.2746
N 4.4033 0.0000 2.3260
N 4.4033 4.3748 3.6225
N 4.5616 6.5886 10.8385
N 4.5616 2.1610 10.8385
N 1.4752 6.5359 4.8899
N 4.5616 2.2138 7.0072
N 1.4752 6.5886 1.0586
N 4.5616 6.5359 7.0072
C 4.1016 1.2094 7.3995
C 3.5599 4.3748 9.9859
C 2.4769 0.0000 4.0373
C 4.1016 5.5843 10.4462
C 2.5075 4.3748 9.0567
C 1.9351 1.2094 4.4976
C 4.1016 3.1654 10.4462
C 3.5293 4.3748 2.8404
C 1.9351 7.5402 4.4976
C 2.4769 4.3748 1.9112
C 1.9351 5.5843 1.4510
C 1.9351 3.1654 1.4510
C 3.5599 0.0000 7.8598
C 4.1016 7.5402 7.3995
C 3.5293 0.0000 3.1082
C 2.5075 0.0000 8.7890

Entry 2:
8
Lattice="-2.7263 5.3504 -1.4189 1.1081 -1.4288 5.8995 4.2391 2.0827 -0.2918" Properties=species:S:1:pos:R:3 comment="PuAl3, relaxed, DFT PBE" ef_ev_per_atom=-0.287 energy_ev_per_atom=-6.663 pbc="T T T"
Al 0.9801 0.9102 1.5489
Al 0.1204 2.9935 3.9292
Al 1.6408 5.0941 2.6398
Al 1.5687 0.1511 4.6830
Al 2.5005 3.0108 0.2595
Al 1.0522 5.8532 -0.4943
Pu -0.3884 3.6113 0.9476
Pu 3.0093 2.3930 3.2411

Entry 3:
33
Lattice="5.0178 0.0000 0.0000 -2.4893 14.4003 0.0000 0.0005 -0.4380 17.2096" Properties=species:S:1:pos:R:3 comment="Ba11Cd8Bi14, relaxed, DFT PBE" ef_ev_per_atom=-0.649 relative_energy_mev_per_atom=0 energy_ev_per_atom=-3.163 pbc="T T T"
Bi 2.5283 1.4217 8.9096
Bi 2.5080 10.3538 12.0274
Bi 0.0100 7.5736 9.2792
Bi 0.0381 7.0313 15.1967
Bi 2.4925 -0.0643 13.6106
Bi 2.5427 11.2720 16.9947
Bi 2.5026 9.9844 4.5006
Bi 2.4909 6.9309 2.0130
Bi 0.0006 12.5405 8.3000
Bi 0.0263 3.9778 12.7090
Bi 2.5190 6.3886 7.9304
Bi 0.0210 3.6084 5.1822
Bi 0.0365 14.0265 3.5990
Bi -0.0137 2.6902 0.2149
Cd 2.5334 3.4961 6.6828
Cd 2.5515 8.1808 16.5036
Cd 2.5485 12.5781 2.7284
Cd -0.0196 1.3841 14.4813
Cd -0.0044 10.4661 10.5268
Cd -0.0226 5.7814 0.7061
Cd 2.5411 2.4156 11.7872
Cd -0.0121 11.5466 5.4224
Ba 2.5116 10.0308 8.0105
Ba 2.5089 0.0000 0.0000
Ba 0.0114 10.6436 14.4569
Ba 2.5053 4.0693 15.4913
Ba 2.5429 13.8706 10.9136
Ba 2.5305 6.8169 12.1108
Ba -0.0015 7.1454 5.0988
Ba 0.0174 3.9314 9.1991
Ba -0.0139 0.0916 6.2960
Ba 0.0237 9.8929 1.7184
Ba 2.5176 3.3186 2.7527

Entry 4:
40
Lattice="-3.5450 -8.2947 -1.7051 5.5762 3.2563 -6.6645 10.1824 -3.0694 9.5031" Properties=species:S:1:pos:R:3 comment="NaMo6Cl13, relaxed, DFT PBE" ef_ev_per_atom=-1.419 energy_corrected_mp2020_ev_per_atom=-5.940 energy_ev_per_atom=-5.541 pbc="T T T"
Cl 4.4193 -6.0622 -0.3136
Cl 8.6882 -6.1422 2.2206
Cl 7.0771 1.5156 -4.5549
Cl 4.9307 -5.7934 5.3118
Cl 1.2697 -8.3941 0.3783
Cl 1.5775 -7.1621 -3.1567
Cl 12.0205 -3.8206 2.7026
Cl 4.3174 -0.8080 -4.3079
Cl 0.1931 -4.2872 -1.5690
Cl 7.7942 -2.0456 1.4471
Cl 4.7455 -3.5695 2.5140
Cl 7.4681 -4.5382 -1.3805
Cl 3.5254 -1.9656 -1.0871
Cl 11.1141 -3.8605 6.1674
Cl 7.2828 -2.3143 -4.1783
Cl 7.8962 -7.2997 5.4414
Cl 8.1820 0.0583 -1.4168
Cl 4.0316 -8.1661 2.5503
Cl 1.0995 -4.2472 -5.0339
Cl 5.1365 -9.6234 5.6884
Cl 7.5224 -3.3801 4.6890
Cl 10.6360 -0.9456 4.2902
Cl -1.8156 -7.1543 -2.2203
Cl 10.9439 0.2863 0.7552
Cl 14.0292 -0.9534 3.3538
Cl 4.6912 -4.7276 -3.5555
Mo -0.3351 -5.6434 -3.5396
Mo 9.1626 -8.1826 3.4835
Mo 5.0452 -3.3791 4.9864
Mo 3.0218 -9.7214 4.1819
Mo 5.9759 -6.3631 -2.1719
Mo 6.2377 -1.7446 3.3054
Mo 7.6311 -9.7188 4.9607
Mo 9.1918 1.6136 -3.0484
Mo 12.5487 -2.4644 4.6731
Mo 7.1684 -4.7286 -3.8529
Mo 4.5825 1.6111 -3.8272
Mo 3.0510 0.0749 -2.3500
Na 9.8563 -3.9020 1.0377
Na 2.3573 -4.2058 0.0958

Entry 5:
26
Lattice="3.0285 -5.2455 0.0000 3.0285 5.2455 0.0000 0.0000 0.0000 10.2758" Properties=species:S:1:pos:R:3 comment="BaTi4AlO7, relaxed, DFT PBE" ef_ev_per_atom=-2.940 energy_corrected_mp2020_ev_per_atom=-8.470 energy_ev_per_atom=-8.100 pbc="T T T"
Ti 4.5605 0.8640 7.0064
Ti 0.0000 0.0000 10.0764
Ti 3.0285 -3.5175 1.8685
Ti 1.4965 -0.8640 1.8685
Ti 0.0000 0.0000 4.9385
Ti 4.5605 -0.8640 1.8685
Ti 3.0285 3.5175 7.0064
Ti 1.4965 0.8640 7.0064
O 0.0000 0.0000 8.0844
O 1.6608 -2.5381 7.8123
O 3.0285 -3.2913 10.1751
O 3.0285 0.1692 2.6743
O 0.0000 0.0000 2.9465
O 4.3962 -2.5381 7.8123
O 1.6923 0.9771 5.0372
O 3.0285 -0.1692 7.8123
O 4.3646 0.9771 5.0372
O 1.6608 2.5381 2.6743
O 3.0285 3.2913 5.0372
O 4.3646 -0.9771 10.1751
O 4.3962 2.5381 2.6743
O 1.6923 -0.9771 10.1751
Al 3.0285 -1.7485 8.9564
Al 3.0285 1.7485 3.8185
Ba 3.0285 1.7485 10.2575
Ba 3.0285 -1.7485 5.1196

Entry 6:
6
Lattice="0.0282 3.6655 -1.4994 3.5092 1.3373 3.3353 4.8665 -0.5025 -1.1368" Properties=species:S:1:pos:R:3 comment="LaCo5, relaxed, DFT PBE" ef_ev_per_atom=-0.017 energy_ev_per_atom=-6.764 pbc="T T T"
Co 2.7919 0.2783 0.7328
Co 4.2020 2.2501 0.3496
Co 1.7687 2.5014 0.9180
Co 2.4473 1.5815 -1.3181
Co 5.5838 0.5565 1.4657
La 0.0000 0.0000 0.0000

Entry 7:
123
Lattice="0.0000 12.1320 12.1320 12.1320 0.0000 12.1320 12.1320 12.1320 0.0000" Properties=species:S:1:pos:R:3 comment="Ba20Hg103, relaxed, DFT PBE" ef_ev_per_atom=-0.306 energy_ev_per_atom=-0.872 pbc="T T T"
Hg 24.0843 20.6960 20.6960
Hg 17.1509 19.2452 21.3859
Hg 21.3859 17.1509 19.2452
Hg 19.2452 19.2452 15.0101
Hg 12.1320 16.4178 12.1320
Hg 17.1509 17.1509 15.0101
Hg 12.9498 17.8748 15.1191
Hg 10.9516 10.9516 1.1804
Hg 15.4702 11.0476 15.4702
Hg 21.3859 19.2452 17.1509
Hg 12.9498 9.1449 6.3893
Hg 17.8748 9.1449 11.3142
Hg 14.5339 18.4111 9.7301
Hg 9.1449 17.8748 11.3142
Hg 8.7939 11.0476 8.7939
Hg 15.1191 12.9498 17.8748
Hg 12.1320 7.8462 12.1320
Hg 15.4702 8.7939 13.2164
Hg 7.2517 7.2517 4.8803
Hg 19.2452 15.0101 19.2452
Hg 10.9516 1.1804 10.9516
Hg 4.2103 7.9218 4.2103
Hg 19.2452 21.3859 17.1509
Hg 6.3893 12.9498 9.1449
Hg 14.5339 14.5339 5.8530
Hg 15.0101 17.1509 17.1509
Hg 16.4178 12.1320 12.1320
Hg 24.0843 15.7000 15.7000
Hg 13.2421 13.2421 11.0219
Hg 18.4111 14.5339 9.7301
Hg 8.7939 8.7939 11.0476
Hg 17.1509 21.3859 19.2452
Hg 15.1191 6.3893 11.3142
Hg 11.0219 11.0219 11.0219
Hg 15.4702 13.2164 8.7939
Hg 9.1449 12.9498 6.3893
Hg 1.1804 1.1804 1.1804
Hg 12.3117 15.7000 20.6960
Hg 22.4822 13.9138 13.9138
Hg 13.2164 8.7939 15.4702
Hg 15.7000 15.7000 24.0843
Hg 9.1320 9.1320 3.0000
Hg 15.1191 17.8748 12.9498
Hg 11.3142 17.8748 9.1449
Hg 14.5339 5.8530 14.5339
Hg 20.6960 15.7000 12.3117
Hg 9.7301 9.7301 5.8530
Hg 20.6960 20.6960 24.0843
Hg 19.2452 17.1509 21.3859
Hg 9.7301 14.5339 18.4111
Hg 8.7939 13.2164 15.4702
Hg 9.1320 3.0000 9.1320
Hg 20.6960 12.3117 15.7000
Hg 7.8462 12.1320 12.1320
Hg 4.8803 7.2517 7.2517
Hg 7.9218 7.9218 7.9218
Hg 11.3142 6.3893 15.1191
Hg 20.6960 24.0843 20.6960
Hg 11.0476 8.7939 8.7939
Hg 3.0000 9.1320 9.1320
Hg 13.9138 13.9138 22.4822
Hg 6.3893 9.1449 12.9498
Hg 7.9218 4.2103 4.2103
Hg 6.3893 11.3142 15.1191
Hg 17.1509 15.0101 17.1509
Hg 11.3142 9.1449 17.8748
Hg 15.7000 24.0843 15.7000
Hg 1.1804 10.9516 10.9516
Hg 3.0000 3.0000 3.0000
Hg 12.3117 20.6960 15.7000
Hg 15.1191 11.3142 6.3893
Hg 13.2421 11.0219 13.2421
Hg 15.7000 12.3117 20.6960
Hg 11.0219 13.2421 13.2421
Hg 18.1980 18.1980 18.1980
Hg 15.4702 15.4702 11.0476
Hg 12.9498 15.1191 17.8748
Hg 9.7301 18.4111 14.5339
Hg 17.8748 15.1191 12.9498
Hg 5.8530 14.5339 14.5339
Hg 12.9498 6.3893 9.1449
Hg 13.9138 22.4822 13.9138
Hg 13.2164 15.4702 8.7939
Hg 15.0101 19.2452 19.2452
Hg 9.7301 5.8530 9.7301
Hg 8.7939 15.4702 13.2164
Hg 4.8803 4.8803 4.8803
Hg 9.1449 11.3142 17.8748
Hg 15.7000 20.6960 12.3117
Hg 12.1320 12.1320 7.8462
Hg 9.1449 6.3893 12.9498
Hg 17.8748 12.9498 15.1191
Hg 14.5339 9.7301 18.4111
Hg 18.4111 9.7301 14.5339
Hg 4.2103 4.2103 7.9218
Hg 7.2517 4.8803 7.2517
Hg 11.3142 15.1191 6.3893
Hg 17.8748 11.3142 9.1449
Hg 6.3893 15.1191 11.3142
Hg 11.0476 15.4702 15.4702
Hg 5.8530 9.7301 9.7301
Hg 12.1320 12.1320 16.4178
Hg 22.4822 22.4822 22.4822
Ba 6.0660 6.0660 1.3371
Ba 12.1320 12.1320 19.8121
Ba 20.4257 20.4257 20.4257
Ba 19.8121 12.1320 12.1320
Ba 6.0660 10.7949 6.0660
Ba 6.0660 1.3371 6.0660
Ba 14.4431 9.8209 9.8209
Ba 9.8209 9.8209 14.4431
Ba 12.1320 4.4520 12.1320
Ba 6.0660 6.0660 10.7949
Ba 4.4520 12.1320 12.1320
Ba 20.4257 15.9703 15.9703
Ba 12.1320 19.8121 12.1320
Ba 10.7949 6.0660 6.0660
Ba 15.9703 15.9703 20.4257
Ba 9.8209 14.4431 9.8209
Ba 1.3371 6.0660 6.0660
Ba 12.1320 12.1320 4.4520
Ba 15.9703 20.4257 15.9703
Ba 14.4431 14.4431 14.4431

Entry 8:
117
Lattice="8.7315 0.0062 0.0100 -4.3604 7.5454 -0.0098 0.0256 -0.0141 22.0532" Properties=species:S:1:pos:R:3 comment="Na5Ti2Ga2SiP5O24, relaxed, DFT PBE" ef_ev_per_atom=-2.775 energy_corrected_mp2020_ev_per_atom=-7.383 energy_ev_per_atom=-6.960 pbc="T T T"
Na 4.3169 2.5185 7.3604
Na 1.6150 7.3018 12.8664
Na 2.7664 4.7918 16.5574
Na -4.3102 7.4947 11.0257
Na 7.1509 2.2640 9.1841
Na 0.0558 5.0350 3.7463
Na 4.4421 2.5139 18.4629
Na -1.6109 7.3071 1.8392
Na 2.8092 5.2833 1.8289
Na -1.1763 2.5053 1.8473
Na -2.7536 4.8007 5.5282
Na -0.0285 4.9511 14.7103
Na 2.7924 0.2618 9.2015
Na -1.1395 7.5280 16.5667
Na -4.3241 7.5132 21.9886
O 5.4201 3.7556 3.1586
O 0.9685 3.7841 1.7035
O 1.0770 1.2491 17.7744
O 1.7180 4.7820 18.9340
O 7.2070 0.2362 17.8332
O 7.6791 1.3304 6.7967
O 1.0492 6.3424 10.4455
O 4.9601 3.9870 16.3903
O 1.4817 0.1482 13.0423
O 0.6349 1.5097 15.3086
O 3.3269 1.2023 11.4994
O 0.5828 6.5914 7.9609
O 5.0294 1.0744 9.3150
O 4.9767 6.0075 17.7811
O 5.9602 2.6740 20.3616
O 1.6738 5.2430 21.4673
O -0.5378 6.4077 12.6948
O -0.6275 1.5750 4.2315
O 0.6468 3.5933 16.6728
O 3.3559 3.8298 14.1400
O 4.9814 6.2141 2.0033
O 1.5506 5.2078 5.6534
O -1.6033 5.2713 10.3898
O 2.7847 7.2704 15.2267
O -0.5566 1.4528 20.0854
O -0.6031 3.4772 21.4669
O -1.6844 4.7387 7.9050
O 7.7696 1.2542 13.0292
O 2.8414 7.3781 9.0581
O -1.4634 4.8574 1.6870
O -2.6541 7.2632 4.2578
O 1.0512 3.7121 7.9269
O 0.6082 3.5090 10.4078
O -0.9229 3.7690 12.7051
O 4.9389 0.9706 3.0745
O 5.4402 1.2307 0.6027
O 1.5896 4.8519 12.7141
O 0.6253 1.4449 9.0718
O -3.3792 6.3165 9.0558
O 3.8194 5.9559 6.7310
O 5.9381 2.3420 5.3831
O 2.7519 2.7756 3.0699
O 3.4422 3.7474 20.3445
O 3.7929 4.0985 11.6198
O 2.7928 2.3332 16.3944
O 1.7001 0.2570 6.8018
O 5.2577 1.3250 16.4131
O 4.8821 4.0538 0.5737
O 3.4418 6.2783 20.0862
O 5.3446 3.7429 9.3529
O 2.7087 2.1956 0.6030
O 3.2869 6.1889 4.2242
O 7.1680 0.1949 2.0014
O -0.6058 6.6148 18.9332
O 0.9092 6.2253 16.6773
O 0.9182 1.2838 2.0007
O -1.0113 3.7190 18.9628
O 3.4372 1.2613 5.3579
O 3.7798 1.0717 20.3917
O -3.2899 6.2526 15.3116
O 6.0154 2.7627 14.0830
O 3.8221 0.9830 14.1546
O 3.7625 3.9684 5.3607
O 0.6419 6.4746 1.7013
O -0.9469 6.2625 5.6569
O 3.7168 6.1108 13.0128
O 6.0715 2.2291 11.5846
O -0.9825 6.3295 21.4531
O 2.8250 2.6712 9.2988
O -1.5413 5.2293 16.6736
O -2.7725 7.3345 20.0748
O -0.6634 3.6142 5.6356
Ti -4.2937 7.5289 14.2692
Ti 4.4448 2.4508 15.1104
Ti 4.3869 2.5186 4.1377
Ti 8.6854 0.0083 18.8744
Ti -0.0474 5.0278 0.3273
Ti -0.0080 5.0294 11.4730
P -1.2368 7.2568 20.1796
P -1.2329 2.1790 5.5193
P 2.5568 0.0056 5.5418
P -3.0669 5.3386 16.5601
P 2.5707 4.9898 20.1974
P 6.9178 2.5284 12.8347
P 3.1348 4.6767 12.8618
P 1.8571 2.5066 1.8269
P 1.2430 2.1861 16.5616
P 1.3061 7.2033 9.1678
P 3.0634 5.3700 5.5195
P -2.5463 5.0164 9.1608
P 5.6355 0.3509 1.8278
P 1.3008 2.8605 9.1669
P -1.2698 2.8322 20.1746
Si 5.6188 4.7204 1.8224
Si 6.2178 0.0026 16.5516
Si 3.0731 0.3340 12.8200
Ga 0.0763 5.0274 6.9390
Ga 0.0216 5.0153 17.9996
Ga 4.3224 2.5558 10.6582
Ga 4.3953 2.5409 21.6038
Ga 4.3843 7.5211 3.3439
Ga 4.3551 7.5138 7.7250

Repeat the fourth record exactly.
40
Lattice="-3.5450 -8.2947 -1.7051 5.5762 3.2563 -6.6645 10.1824 -3.0694 9.5031" Properties=species:S:1:pos:R:3 comment="NaMo6Cl13, relaxed, DFT PBE" ef_ev_per_atom=-1.419 energy_corrected_mp2020_ev_per_atom=-5.940 energy_ev_per_atom=-5.541 pbc="T T T"
Cl 4.4193 -6.0622 -0.3136
Cl 8.6882 -6.1422 2.2206
Cl 7.0771 1.5156 -4.5549
Cl 4.9307 -5.7934 5.3118
Cl 1.2697 -8.3941 0.3783
Cl 1.5775 -7.1621 -3.1567
Cl 12.0205 -3.8206 2.7026
Cl 4.3174 -0.8080 -4.3079
Cl 0.1931 -4.2872 -1.5690
Cl 7.7942 -2.0456 1.4471
Cl 4.7455 -3.5695 2.5140
Cl 7.4681 -4.5382 -1.3805
Cl 3.5254 -1.9656 -1.0871
Cl 11.1141 -3.8605 6.1674
Cl 7.2828 -2.3143 -4.1783
Cl 7.8962 -7.2997 5.4414
Cl 8.1820 0.0583 -1.4168
Cl 4.0316 -8.1661 2.5503
Cl 1.0995 -4.2472 -5.0339
Cl 5.1365 -9.6234 5.6884
Cl 7.5224 -3.3801 4.6890
Cl 10.6360 -0.9456 4.2902
Cl -1.8156 -7.1543 -2.2203
Cl 10.9439 0.2863 0.7552
Cl 14.0292 -0.9534 3.3538
Cl 4.6912 -4.7276 -3.5555
Mo -0.3351 -5.6434 -3.5396
Mo 9.1626 -8.1826 3.4835
Mo 5.0452 -3.3791 4.9864
Mo 3.0218 -9.7214 4.1819
Mo 5.9759 -6.3631 -2.1719
Mo 6.2377 -1.7446 3.3054
Mo 7.6311 -9.7188 4.9607
Mo 9.1918 1.6136 -3.0484
Mo 12.5487 -2.4644 4.6731
Mo 7.1684 -4.7286 -3.8529
Mo 4.5825 1.6111 -3.8272
Mo 3.0510 0.0749 -2.3500
Na 9.8563 -3.9020 1.0377
Na 2.3573 -4.2058 0.0958